! HfMg14CoO16, optimized geometry, DFT PBE with a Hubbard U; values from VASP
&SYSTEM
  ibrav = 0, nat = 32, ntyp = 4
/
ATOMIC_SPECIES
Hf 178.49 Hf.upf
Mg 24.30 Mg.upf
Co 58.93 Co.upf
O 16.00 O.upf
ATOMIC_POSITIONS angstrom
Hf -3.7444 -4.8265 0.2866
Mg -2.5463 -2.0662 -2.8189
Mg -1.1981 -2.7603 3.1055
Mg 0.3919 -2.2963 -1.8899
Mg -2.2294 -4.4233 -4.7918
Mg -0.7839 -5.0386 1.2402
Mg -3.4497 -7.2017 -1.7110
Mg 1.0461 -2.6332 0.9851
Mg -1.4897 -4.6752 -1.8610
Mg -0.1873 -5.4748 4.1820
Mg -2.7440 -7.5651 1.3903
Mg -1.7858 -2.3018 0.1367
Mg -4.4496 -4.4634 -2.8124
Mg -3.0392 -5.1896 3.3855
Mg -5.7030 -7.3512 0.4365
Co 0.0000 0.0000 0.0000
O -0.6364 -1.4661 1.6495
O -3.1515 -3.4605 -1.2503
O -1.7599 -4.0545 4.5615
O -4.3373 -6.1925 1.8234
O -0.2532 -3.7179 -0.3780
O -2.7878 -5.7747 -3.1840
O -1.4459 -6.4656 2.7133
O -3.9805 -8.5224 -0.0927
O 1.6275 -1.2936 -0.5219
O -0.9187 -3.3598 -3.3409
O 0.4294 -4.0540 2.5835
O -2.1168 -6.1201 -0.2354
O -1.3524 -1.0974 -1.4972
O -3.7401 -3.0349 -4.1406
O -2.4843 -3.8040 1.6816
O -5.0045 -5.8490 -1.1085
CELL_PARAMETERS angstrom
-2.3962 -5.5207 6.2110
-5.0925 -4.1324 -5.6378
3.2551 -2.5873 -1.0439
! - ΔH_f (0 K) (meV per atom) = -2871
! - energy above the lowest structure with this stoichiometry (kJ/mol of formula units) = 13
! - magnetic moment (μB/f.u.) = 2.8
! - energy (eV/atom) = -6.183